Record 1
Entry from the Materials Project: an optimized crystal structure of SiO2 (GGA-PBE).

Energy in eV/atom: -7.90
Space group: Pmmn
Spin magnetization in μB per formula unit: 0.00

Cell: 7.0349 13.6812 22.4225 Å, 90.00 90.00 90.00°
Fractional positions:
O1 0.0429 0.5000 0.5735
Si1 0.5585 0.8873 0.1611
O2 0.1134 0.3164 0.1841
Si2 0.1222 0.3872 0.2421
Si3 0.8902 0.8857 0.9309
Si4 0.4415 0.3873 0.6611
Si5 0.1098 0.3857 0.5691
O3 0.6871 0.8613 0.2195
O4 0.4840 0.0000 0.1651
O5 0.9345 0.6292 0.2839
O6 0.0483 0.8173 0.1015
O7 0.3167 0.3720 0.6006
O8 0.3167 0.3720 0.3994
O9 0.3781 0.1856 0.8410
O10 0.6833 0.1280 0.1006
O11 0.3129 0.6387 0.7195
O12 0.0655 0.8708 0.7839
O13 0.5160 0.5000 0.3349
O14 0.3167 0.6280 0.6006
O15 0.6833 0.1280 0.8994
Si6 0.1512 0.2029 0.1653
O16 0.0429 0.5000 0.4265
O17 0.8744 0.0000 0.2805
O18 0.9517 0.6827 0.3985
O19 0.0483 0.1827 0.8985
Si7 0.8488 0.2971 0.3347
O20 0.3781 0.8144 0.1590
O21 0.8866 0.1836 0.6841
O22 0.8727 0.1480 0.0000
O23 0.3129 0.6387 0.2805
Si8 0.1098 0.6143 0.5691
O24 0.6871 0.8613 0.7805
O25 0.9517 0.6827 0.6015
O26 0.8866 0.8164 0.6841
O27 0.6219 0.3144 0.3410
Si9 0.8778 0.1128 0.7421
Si10 0.8902 0.1143 0.0691
O28 0.1273 0.6480 0.5000
O29 0.5160 0.5000 0.6651
Si11 0.1512 0.7971 0.8347
O30 0.1134 0.6836 0.8159
O31 0.6833 0.8720 0.1006
O32 0.0483 0.1827 0.1015
O33 0.9517 0.3173 0.6015
Si12 0.8488 0.7029 0.6653
O34 0.0655 0.8708 0.2161
Si13 0.8902 0.8857 0.0691
O35 0.9571 0.0000 0.9265
O36 0.3129 0.3613 0.7195
O37 0.0483 0.8173 0.8985
Si14 0.1098 0.6143 0.4309
Si15 0.4415 0.3873 0.3389
Si16 0.8488 0.2971 0.6653
O38 0.9517 0.3173 0.3985
O39 0.6871 0.1387 0.7805
Si17 0.8902 0.1143 0.9309
O40 0.8727 0.8520 0.0000
Si18 0.8488 0.7029 0.3347
O41 0.3781 0.1856 0.1590
O42 0.8866 0.8164 0.3159
O43 0.1256 0.5000 0.2195
O44 0.9571 0.0000 0.0735
Si19 0.1222 0.3872 0.7579
O45 0.8744 0.0000 0.7195
Si20 0.1512 0.7971 0.1653
O46 0.3781 0.8144 0.8410
O47 0.9345 0.6292 0.7161
O48 0.0655 0.1292 0.7839
O49 0.1273 0.3520 0.5000
Si21 0.1098 0.3857 0.4309
O50 0.3129 0.3613 0.2805
Si22 0.1512 0.2029 0.8347
Si23 0.8778 0.1128 0.2579
O51 0.9345 0.3708 0.7161
O52 0.6219 0.6856 0.3410
Si24 0.1222 0.6128 0.7579
Si25 0.8778 0.8872 0.2579
O53 0.6833 0.8720 0.8994
Si26 0.1222 0.6128 0.2421
O54 0.9345 0.3708 0.2839
O55 0.3167 0.6280 0.3994
Si27 0.5585 0.1127 0.1611
O56 0.6871 0.1387 0.2195
O57 0.1134 0.3164 0.8159
Si28 0.5585 0.8873 0.8389
O58 0.6219 0.6856 0.6590
O59 0.1256 0.5000 0.7805
O60 0.4840 0.0000 0.8349
Si29 0.4415 0.6127 0.3389
O61 0.0655 0.1292 0.2161
Si30 0.5585 0.1127 0.8389
O62 0.8866 0.1836 0.3159
Si31 0.8778 0.8872 0.7421
Si32 0.4415 0.6127 0.6611
O63 0.6219 0.3144 0.6590
O64 0.1134 0.6836 0.1841

=====

Record 2
Entry from the Materials Project: an optimized crystal structure of ScGe (GGA-PBE).

Energy in eV/atom: -6.31
Space group: Cmcm

Cell: 5.4550 5.4550 3.7814 Å, 90.00 90.00 136.52°
Fractional positions:
Ge1 0.5905 0.4095 0.7500
Sc1 0.1360 0.8640 0.2500
Ge2 0.4095 0.5905 0.2500
Sc2 0.8640 0.1360 0.7500

=====

Record 3
Entry from the Materials Project: an optimized crystal structure of Ti2ZnO4 (GGA-PBE).

Distance to the lowest polymorph of the same formula in kcal/mol of atoms: 1.920
Space group: Pbcm
Spin magnetization in μB per formula unit: 0.00

Cell: 2.9230 9.6095 10.1388 Å, 90.00 90.00 90.00°
Fractional positions:
O1 0.2589 0.7500 0.0000
O2 0.2229 0.2847 0.7500
Ti1 0.2404 0.1238 0.0698
O3 0.7771 0.7153 0.2500
O4 0.7437 0.9763 0.1139
O5 0.2563 0.4763 0.1139
Ti2 0.2404 0.3762 0.9302
O6 0.7411 0.2500 0.5000
O7 0.7411 0.2500 0.0000
Ti3 0.7596 0.6238 0.4302
Ti4 0.7596 0.8762 0.9302
O8 0.7771 0.7847 0.7500
O9 0.2229 0.2153 0.2500
O10 0.2563 0.0237 0.6139
Zn1 0.2790 0.8699 0.2500
O11 0.7437 0.5237 0.8861
Zn2 0.2790 0.6301 0.7500
Ti5 0.2404 0.1238 0.4302
Ti6 0.7596 0.8762 0.5698
Ti7 0.2404 0.3762 0.5698
O12 0.7437 0.5237 0.6139
O13 0.2563 0.0237 0.8861
O14 0.2563 0.4763 0.3861
O15 0.2589 0.7500 0.5000
Zn3 0.7210 0.1301 0.7500
Zn4 0.7210 0.3699 0.2500
Ti8 0.7596 0.6238 0.0698
O16 0.7437 0.9763 0.3861

=====

Record 4
Entry from the Materials Project: an optimized crystal structure of Mg14FeCo (GGA-PBE).

Distance to the lowest polymorph of the same formula in kcal/mol of atoms: 0.382
Space group: P-6m2
Spin magnetization in μB per formula unit: 3.60

Cell: 6.2351 6.2351 9.7283 Å, 90.00 90.00 120.00°
Fractional positions:
Mg1 0.6663 0.3326 0.6250
Fe1 0.1667 0.3333 0.1250
Co1 0.1667 0.3333 0.6250
Mg2 0.3235 0.6469 0.3770
Mg3 0.6658 0.8342 0.1250
Mg4 0.8333 0.6667 0.8764
Mg5 0.1684 0.8342 0.1250
Mg6 0.8333 0.6667 0.3736
Mg7 0.3235 0.1765 0.8730
Mg8 0.6658 0.3316 0.1250
Mg9 0.3235 0.1765 0.3770
Mg10 0.6663 0.8337 0.6250
Mg11 0.8531 0.1765 0.3770
Mg12 0.8531 0.1765 0.8730
Mg13 0.1674 0.8337 0.6250
Mg14 0.3235 0.6469 0.8730

=====

Record 5
Entry from the Materials Project: an optimized crystal structure of CsMg14Zr (GGA-PBE).

Distance to the lowest polymorph of the same formula in kcal/mol of atoms: 0.000
Space group: P-6m2
Spin magnetization in μB per formula unit: 0.00

Cell: 6.6830 6.6830 10.4198 Å, 90.00 90.00 120.00°
Fractional positions:
Mg1 0.3387 0.6774 0.8923
Mg2 0.8333 0.6667 0.3781
Mg3 0.1760 0.8380 0.6250
Mg4 0.8333 0.6667 0.8719
Mg5 0.3387 0.1613 0.3577
Mg6 0.6620 0.3240 0.6250
Mg7 0.6676 0.8324 0.1250
Mg8 0.6620 0.8380 0.6250
Mg9 0.3387 0.6774 0.3577
Mg10 0.6676 0.3353 0.1250
Zr1 0.1667 0.3333 0.1250
Mg11 0.3387 0.1613 0.8923
Mg12 0.8226 0.1613 0.3577
Cs1 0.1667 0.3333 0.6250
Mg13 0.1647 0.8324 0.1250
Mg14 0.8226 0.1613 0.8923

=====

Record 6
Entry from the Materials Project: an optimized crystal structure of PuIn (GGA-PBE).

Energy in eV/atom: -8.55
Space group: C2/m
Spin magnetization in μB per formula unit: 6.03

Cell: 3.3117 3.3117 5.7681 Å, 75.41 75.41 63.26°
Fractional positions:
In1 0.0000 0.0000 0.0000
Pu1 0.5000 0.5000 0.5000

=====

Record 7
Entry from the Materials Project: an optimized crystal structure of Si (GGA-PBE).

Distance to the lowest polymorph of the same formula in kcal/mol of atoms: 1.869
Space group: P6/mmm

Cell: 10.2215 10.2215 10.3888 Å, 90.00 90.00 120.00°
Fractional positions:
Si1 0.2422 0.0000 0.0000
Si2 0.7354 0.8677 0.5000
Si3 0.6198 0.0000 0.8127
Si4 0.8677 0.7354 0.5000
Si5 0.3802 0.3802 0.8127
Si6 0.7578 0.0000 0.0000
Si7 0.2422 0.2422 0.0000
Si8 0.2094 0.4188 0.3124
Si9 0.6198 0.6198 0.1873
Si10 0.3802 0.3802 0.1873
Si11 0.0000 0.3802 0.1873
Si12 0.5812 0.7906 0.6876
Si13 0.6667 0.3333 0.6123
Si14 0.3333 0.6667 0.3877
Si15 0.1323 0.8677 0.5000
Si16 0.6667 0.3333 0.3877
Si17 0.7906 0.5812 0.6876
Si18 0.8677 0.1323 0.5000
Si19 0.7578 0.7578 0.0000
Si20 0.2094 0.4188 0.6876
Si21 0.5812 0.7906 0.3124
Si22 0.3333 0.6667 0.6123
Si23 0.0000 0.7578 0.0000
Si24 0.2646 0.1323 0.5000
Si25 0.2094 0.7906 0.6876
Si26 0.3802 0.0000 0.8127
Si27 0.7906 0.2094 0.6876
Si28 0.6198 0.0000 0.1873
Si29 0.4188 0.2094 0.6876
Si30 0.3802 0.0000 0.1873
Si31 0.1323 0.2646 0.5000
Si32 0.7906 0.2094 0.3124
Si33 0.7906 0.5812 0.3124
Si34 0.0000 0.6198 0.1873
Si35 0.0000 0.6198 0.8127
Si36 0.0000 0.3802 0.8127
Si37 0.4188 0.2094 0.3124
Si38 0.6198 0.6198 0.8127
Si39 0.2094 0.7906 0.3124
Si40 0.0000 0.2422 0.0000

=====

Record 8
Entry from the Materials Project: an optimized crystal structure of LaSiBO5 (GGA-PBE).

Distance to the lowest polymorph of the same formula in kcal/mol of atoms: 0.000
Space group: P3_1
Spin magnetization in μB per formula unit: 0.00

Cell: 6.9238 6.9238 6.8001 Å, 90.00 90.00 120.00°
Fractional positions:
Si1 0.3333 0.2509 0.3341
O1 0.1912 0.0631 0.4983
O2 0.5257 0.0129 0.8092
O3 0.6691 0.8581 0.5235
O4 0.4872 0.4743 0.4759
La1 0.9257 0.6664 0.5013
O5 0.7267 0.5268 0.8398
Si2 0.9176 0.6667 0.0008
O6 0.3269 0.6153 0.7113
La2 0.3336 0.2594 0.8346
Si3 0.7491 0.0824 0.6674
B1 0.2205 0.5641 0.1878
O7 0.2883 0.6731 0.3780
O8 0.4732 0.1999 0.1732
O9 0.9871 0.5128 0.1426
O10 0.9369 0.1281 0.8316
O11 0.8719 0.8088 0.1649
B2 0.3437 0.7795 0.8544
O12 0.3847 0.7117 0.0447
La3 0.7406 0.0743 0.1679
O13 0.8001 0.2733 0.5065
O14 0.1890 0.3309 0.1902
B3 0.4359 0.6563 0.5211
O15 0.1419 0.8110 0.8568

=====

Record 9
Entry from the Materials Project: an optimized crystal structure of LaNi3Rh2 (GGA-PBE).

Distance to the lowest polymorph of the same formula in kcal/mol of atoms: 0.000
Space group: Cmmm

Cell: 5.1239 5.1239 4.0488 Å, 90.00 90.00 117.38°
Fractional positions:
Rh1 0.5000 0.0000 0.5000
La1 0.5000 0.5000 0.0000
Ni1 0.0000 0.0000 0.5000
Ni2 0.8433 0.1567 0.0000
Rh2 0.0000 0.5000 0.5000
Ni3 0.1567 0.8433 0.0000

=====

Record 10
Entry from the Materials Project: an optimized crystal structure of CaMn2S4 (GGA-PBE).

Distance to the lowest polymorph of the same formula in kcal/mol of atoms: 1.107
Space group: I4_1/amd
Spin magnetization in μB per formula unit: 8.00

Cell: 7.9947 7.9947 7.9947 Å, 127.40 127.40 77.60°
Fractional positions:
S1 0.6429 0.3610 0.7181
S2 0.6748 0.8929 0.7819
Mn1 0.3750 0.1250 0.2500
Ca1 0.2500 0.7500 0.5000
Mn2 0.8750 0.6250 0.7500
S3 0.6429 0.9248 0.2819
S4 0.0752 0.3571 0.7181
S5 0.1071 0.8890 0.7819
S6 0.1110 0.8929 0.2181
S7 0.1071 0.3252 0.2181
Mn3 0.8750 0.1250 0.2500
S8 0.6390 0.3571 0.2819
Ca2 0.5000 0.5000 0.0000
Mn4 0.8750 0.1250 0.7500

=====

Record 11
Entry from the Materials Project: an optimized crystal structure of Na2ZrSi2O8 (GGA-PBE).

Energy in eV/atom: -7.07
Space group: Cc
Spin magnetization in μB per formula unit: 2.00

Cell: 5.4408 5.4408 13.3235 Å, 91.87 91.87 118.92°
Fractional positions:
O1 0.7036 0.3049 0.2535
O2 0.8793 0.7027 0.1159
O3 0.2700 0.3482 0.6034
O4 0.8393 0.2243 0.4295
O5 0.7282 0.6524 0.4042
O6 0.7027 0.8793 0.6159
O7 0.6132 0.4012 0.7336
O8 0.3001 0.1163 0.3892
O9 0.7775 0.1822 0.0675
Si1 0.3231 0.6328 0.8734
Zr1 0.9960 0.9980 0.5078
O10 0.6524 0.7282 0.9042
Zr2 0.9980 0.9960 0.0078
Na1 0.0149 0.9410 0.7549
Si2 0.6328 0.3231 0.3734
Si3 0.6793 0.3713 0.1351
O11 0.2243 0.8393 0.9295
Na2 0.6525 0.2837 0.9027
O12 0.1822 0.7775 0.5675
Na3 0.2837 0.6525 0.4027
O13 0.3049 0.7036 0.7535
Si4 0.3713 0.6793 0.6351
O14 0.1163 0.3001 0.8892
O15 0.4012 0.6132 0.2336
Na4 0.9410 0.0149 0.2549
O16 0.3482 0.2700 0.1034

=====

Record 12
Entry from the Materials Project: an optimized crystal structure of ErIn3 (GGA-PBE).

Energy in eV/atom: -3.58
Space group: Pm-3m

Cell: 4.6344 4.6344 4.6344 Å, 90.00 90.00 90.00°
Fractional positions:
In1 0.0000 0.5000 0.5000
In2 0.5000 0.0000 0.5000
In3 0.5000 0.5000 0.0000
Er1 0.0000 0.0000 0.0000

=====

Record 13
Entry from the Materials Project: an optimized crystal structure of Sm2CuGe2O8 (GGA-PBE).

Energy in eV/atom: -7.06
Space group: Cm
Spin magnetization in μB per formula unit: 1.00

Cell: 9.0961 9.0961 5.1889 Å, 73.79 73.79 114.78°
Fractional positions:
O1 0.4954 0.4954 0.9915
O2 0.5736 0.7580 0.2423
O3 0.3337 0.3337 0.6630
O4 0.8331 0.8331 0.6524
Cu1 0.3402 0.9262 0.6212
Sm1 0.8014 0.0435 0.3230
O5 0.4962 0.8398 0.7594
O6 0.9987 0.9987 0.0054
Ge1 0.8885 0.4676 0.0813
O7 0.2695 0.7517 0.4454
Ge2 0.4676 0.8885 0.0813
O8 0.7580 0.5736 0.2423
O9 0.7517 0.2695 0.4454
O10 0.6241 0.0916 0.0743
O11 0.3465 0.0010 0.9275
O12 0.8398 0.4962 0.7594
Ge3 0.1628 0.1628 0.6243
Sm2 0.2988 0.5397 0.8173
Sm3 0.5397 0.2988 0.8173
O13 0.0916 0.6241 0.0743
Cu2 0.9262 0.3402 0.6212
Sm4 0.0435 0.8014 0.3230
O14 0.2517 0.0647 0.4198
Ge4 0.6665 0.6665 0.0252
O15 0.0010 0.3465 0.9275
O16 0.0647 0.2517 0.4198